Computed, not measured: SrSmMn4O12 after structural relaxation at the PBE+U level of DFT.

Properties
E ... -121.976 eV/f.u.
Space-group type ... No. 123

Cell and atoms, written as extended XYZ:
```
18
Lattice="-3.452 1.072 -3.962 0.720 -4.938 -1.964 -5.714 -2.540 4.292" Properties=species:S:1:pos:R:3 pbc="T T T"
Sr -2.857 -1.270 2.146
Sm -1.366 -1.933 -2.963
Mn -3.914 -4.369 2.229
Mn -1.079 -3.109 0.099
Mn -6.001 -1.364 1.230
Mn -3.165 -0.104 -0.900
O -5.060 -2.934 1.741
O -2.065 -1.603 -0.509
O -6.381 -4.804 -1.125
O -3.386 -3.473 -3.374
O -6.729 -2.416 -0.175
O -3.734 -1.084 -2.425
O -4.711 -5.322 0.791
O -1.716 -3.991 -1.458
O -2.497 -3.739 1.164
O 0.360 -2.469 -0.982
O -4.583 -0.734 0.165
O -1.726 0.536 -1.981
```

=====

Computed, not measured: Sr2SmMnO6 after structural relaxation at the PBE+U level of DFT.

Properties
E ... -68.734 eV/f.u.
Space-group type ... No. 225

Cell and atoms, written as extended XYZ:
```
10
Lattice="0.000 -4.160 -4.160 4.160 0.000 -4.160 4.160 -4.160 0.000" Properties=species:S:1:pos:R:3 pbc="T T T"
Sr 2.080 -2.080 -2.080
Sr 6.240 -6.240 -6.240
Sm 4.160 -4.160 -4.160
Mn 0.000 0.000 0.000
O 1.909 -4.160 -4.160
O 6.410 -4.160 -4.160
O 4.160 -6.410 -4.160
O 4.160 -1.909 -4.160
O 4.160 -4.160 -6.410
O 4.160 -4.160 -1.909
```

=====

Computed, not measured: Mn5SnO12 after structural relaxation at the PBE+U level of DFT.

Properties
E ... -124.764 eV/f.u.
Space-group type ... No. 12

Cell and atoms, written as extended XYZ:
```
18
Lattice="4.473 2.581 0.000 -4.473 2.581 0.000 0.000 0.009 10.561" Properties=species:S:1:pos:R:3 pbc="T T T"
Mn 2.981 2.585 5.280
Mn -1.491 2.581 0.000
Mn 1.491 2.581 0.000
Mn -2.981 2.585 5.280
Mn 0.000 2.585 5.280
Sn 0.000 0.000 0.000
O -1.586 0.924 9.559
O -1.586 4.247 1.002
O 1.491 3.446 6.214
O -1.491 3.446 6.214
O 1.491 1.725 4.347
O 0.000 4.307 4.346
O -1.491 1.725 4.347
O 1.586 0.924 9.559
O 0.000 3.340 9.559
O 1.586 4.247 1.002
O 0.000 1.830 1.002
O 0.000 0.864 6.215
```

=====

Computed, not measured: Mn21Sn9O40 after structural relaxation at the PBE+U level of DFT.

Properties
E ... -503.352 eV/f.u.
Space-group type ... No. 82

Cell and atoms, written as extended XYZ:
```
70
Lattice="-7.087 7.087 4.486 7.087 -7.087 4.486 7.087 7.087 -4.486" Properties=species:S:1:pos:R:3 pbc="T T T"
Mn 7.096 3.503 1.127
Mn 4.976 2.798 3.360
Mn -1.412 7.794 1.078
Mn 4.249 4.961 1.120
Mn 3.503 7.077 -1.127
Mn 3.583 0.009 3.359
Mn 2.838 2.125 5.606
Mn 0.707 8.498 3.408
Mn 2.111 4.288 -1.126
Mn 1.412 6.379 1.078
Mn 7.087 0.000 2.243
Mn -0.707 5.675 3.408
Mn 9.212 4.249 -1.120
Mn 0.713 1.419 7.850
Mn 1.419 -0.713 1.123
Mn -0.009 3.583 5.613
Mn 6.374 5.668 3.364
Mn 5.668 7.799 -3.364
Mn -2.125 2.838 3.367
Mn -2.798 4.976 5.613
Mn 9.885 2.111 1.126
Sn 5.669 4.253 -2.243
Sn 1.416 9.910 0.001
Sn 4.263 1.416 -0.001
Sn 2.824 5.671 4.485
Sn 1.417 2.833 2.243
Sn 2.833 -1.417 6.730
Sn 0.000 0.000 4.486
Sn 5.671 -2.824 4.488
Sn 4.253 8.504 2.243
O 7.143 3.526 -1.091
O 7.039 3.575 3.330
O -1.371 7.774 3.284
O 10.662 0.048 1.156
O 4.301 4.909 3.339
O 4.984 2.889 1.159
O 4.939 2.787 5.573
O 4.208 4.983 -1.084
O 5.559 0.764 3.469
O 3.526 7.030 1.091
O 2.148 4.299 1.087
O 2.879 2.103 3.402
O 3.561 0.057 5.578
O 8.614 -0.764 3.469
O 7.851 1.527 1.017
O 3.512 -0.048 1.156
O 2.786 2.178 -1.148
O 2.103 4.197 5.645
O 1.371 6.399 3.284
O 0.687 8.458 1.202
O 2.178 11.388 1.148
O 7.134 -3.575 3.330
O 0.715 1.491 5.641
O -0.687 5.716 1.202
O 1.491 -0.715 3.332
O 9.190 4.208 1.084
O 1.366 -0.674 7.888
O -0.057 3.561 3.395
O 0.674 1.366 1.085
O 6.322 -1.527 1.017
O 6.413 5.720 -3.401
O -2.787 4.939 3.399
O 5.720 7.760 3.401
O -2.103 2.879 5.571
O 5.596 7.801 -1.154
O 4.197 -2.103 3.327
O 6.372 5.596 1.154
O 4.909 -4.301 5.634
O 2.889 9.189 -1.159
O 9.874 2.148 -1.087
```

=====

Computed, not measured: SrMnSnWO6 after structural relaxation at the PBE+U level of DFT.

Properties
E ... -69.872 eV/f.u.
Space-group type ... No. 216

Cell and atoms, written as extended XYZ:
```
10
Lattice="0.000 -4.083 -4.083 4.083 0.000 -4.083 4.083 -4.083 0.000" Properties=species:S:1:pos:R:3 pbc="T T T"
Sr 6.125 -6.125 -6.125
Mn 0.000 0.000 0.000
Sn 2.042 -2.042 -2.042
W 4.083 -4.083 -4.083
O 2.137 -4.083 -4.083
O 6.029 -4.083 -4.083
O 4.083 -6.029 -4.083
O 4.083 -2.137 -4.083
O 4.083 -4.083 -6.029
O 4.083 -4.083 -2.137
```

=====

Computed, not measured: Ti3Mn3Sn2O16 after structural relaxation at the PBE+U level of DFT.

Properties
E ... -180.409 eV/f.u.
Space-group type ... No. 8

Cell and atoms, written as extended XYZ:
```
24
Lattice="2.952 5.108 0.000 -2.952 5.108 0.000 0.000 0.139 9.519" Properties=species:S:1:pos:R:3 pbc="T T T"
Ti 0.000 8.618 2.735
Ti 1.472 4.412 7.496
Ti -1.472 4.412 7.496
Mn 0.000 1.868 7.489
Mn 1.454 6.034 2.738
Mn -1.454 6.034 2.738
Sn 0.000 3.444 4.830
Sn 0.000 6.804 0.102
O 1.513 4.317 3.749
O 0.000 4.983 6.339
O 0.000 3.494 8.508
O 0.000 0.138 6.556
O 0.000 0.077 1.794
O -1.513 4.317 3.749
O 1.284 2.713 6.368
O -1.284 2.713 6.368
O 0.000 8.646 8.497
O 0.000 1.676 3.747
O 1.314 7.560 1.609
O -1.314 7.560 1.609
O 0.000 6.818 3.728
O 1.502 6.057 8.516
O 0.000 5.324 1.659
O -1.502 6.057 8.516
```

=====

Computed, not measured: SrMn2O11 after structural relaxation at the PBE+U level of DFT.

Properties
E ... -74.482 eV/f.u.
Space-group type ... No. 198

Cell and atoms, written as extended XYZ:
```
56
Lattice="9.696 0.000 0.000 0.000 9.696 0.000 0.000 0.000 9.696" Properties=species:S:1:pos:R:3 pbc="T T T"
Sr 2.258 7.106 7.438
Sr 7.106 7.438 2.258
Sr 7.438 2.258 7.106
Sr 2.590 2.590 2.590
Mn 4.712 9.560 4.984
Mn 9.560 4.984 4.712
Mn 4.984 4.712 9.560
Mn 0.136 0.136 0.136
Mn 9.211 4.363 0.485
Mn 4.363 0.485 9.211
Mn 0.485 9.211 4.363
Mn 5.333 5.333 5.333
O 3.780 8.628 5.916
O 8.628 5.916 3.780
O 5.916 3.780 8.628
O 1.068 1.068 1.068
O 8.292 3.445 1.403
O 3.445 1.403 8.292
O 1.403 8.292 3.445
O 6.251 6.251 6.251
O 8.884 8.914 1.074
O 8.622 4.036 5.630
O 4.066 3.774 0.812
O 4.036 5.630 8.622
O 3.774 0.812 4.066
O 8.914 1.074 8.884
O 0.812 4.066 3.774
O 1.074 8.884 8.914
O 5.630 8.622 4.036
O 5.660 0.782 5.922
O 5.922 5.660 0.782
O 0.782 5.922 5.660
O 8.594 8.895 4.091
O 5.604 3.746 5.649
O 4.047 0.756 1.102
O 3.746 5.649 5.604
O 0.756 1.102 4.047
O 8.895 4.091 8.594
O 1.102 4.047 0.756
O 4.091 8.594 8.895
O 5.649 5.604 3.746
O 5.949 0.801 8.939
O 8.939 5.949 0.801
O 0.801 8.939 5.949
O 6.497 8.211 9.484
O 0.212 1.650 6.333
O 3.363 5.060 3.198
O 1.650 6.333 0.212
O 5.060 3.198 3.363
O 8.211 9.484 6.497
O 3.198 3.363 5.060
O 9.484 6.497 8.211
O 6.333 0.212 1.650
O 8.046 1.485 4.636
O 4.636 8.046 1.485
O 1.485 4.636 8.046
```

=====

Computed, not measured: Sr13Mn8O30 after structural relaxation at the PBE+U level of DFT.

Properties
Energy relative to the lowest polymorph listed for this composition ... 0.0 kJ/mol of atoms
E ... -341.131 eV/f.u.
Space-group type ... No. 1

Cell and atoms, written as extended XYZ:
```
51
Lattice="-0.080 5.493 -4.108 -9.573 -1.398 -1.797 -2.565 5.914 8.484" Properties=species:S:1:pos:R:3 pbc="T T T"
Sr -9.193 2.018 3.046
Sr -6.753 4.733 -5.054
Sr -2.172 5.823 6.250
Sr -5.606 2.190 1.163
Sr -5.125 5.586 3.824
Sr -1.935 2.983 0.057
Sr -4.820 2.059 -2.942
Sr -10.273 7.033 2.529
Sr -7.097 4.434 -1.226
Sr -6.597 7.815 1.422
Sr -10.063 4.157 -3.677
Sr -5.560 10.774 3.533
Sr -3.021 7.999 -0.440
Mn -8.417 4.900 4.540
Mn -8.691 1.695 -0.014
Mn -7.890 4.773 1.986
Mn -8.191 1.580 -2.601
Mn -4.033 8.435 5.194
Mn -4.326 5.246 0.614
Mn -3.523 8.329 2.614
Mn -3.818 5.123 -1.943
O -4.237 4.023 5.488
O -3.011 1.068 1.198
O -7.247 5.385 5.915
O -7.168 3.742 3.552
O -10.346 1.481 0.773
O -9.065 0.279 -1.310
O -9.865 6.012 5.072
O -9.543 4.529 2.893
O -4.826 7.159 6.284
O -7.957 3.159 0.981
O -6.891 1.773 -1.162
O -3.900 4.055 1.986
O -7.676 6.278 3.279
O -6.107 5.023 1.308
O -9.217 2.854 -1.565
O -2.988 7.176 4.174
O -0.068 2.789 -2.025
O -4.563 3.747 -0.680
O -8.320 5.960 0.612
O -5.326 8.233 3.748
O -4.235 6.859 1.618
O -7.385 2.841 -3.697
O -2.677 5.480 -0.306
O -2.406 3.985 -2.494
O -3.165 9.746 3.914
O -1.868 8.557 1.823
O -5.052 6.289 -0.945
O -5.000 4.662 -3.318
O -9.207 8.948 1.395
O -7.984 5.995 -2.892
```

=====

no.,E_form (eV/atom),total moment (μB per cell),corrected total energy (MP2020 scheme) (eV per atom)
1,-1.914,15.041,-7.605
2,-2.758,2.000,-7.452
3,-1.786,15.001,-7.853
4,-1.992,102.999,-8.084
5,-2.259,5.000,-8.010
6,-2.419,9.001,-8.184
7,-0.781,23.999,-6.098
8,-2.576,25.380,-7.355